28
Lattice="3.957 3.968 0.000 -3.957 3.968 0.000 0.000 3.810 11.344" Properties=species:S:1:pos:R:3 comment="Sr3Co3O8 (PBE+U, optimized geometry)" energy_corrected_mp2020_ev_per_atom=-6.763 m_tot_mub_per_cell=18.00 delta_e_f_mev_per_atom=-2051 pbc="T T T"
Co 0.000 7.934 2.029
Co 0.000 3.979 5.622
Co 0.000 7.767 5.722
Co 0.000 3.895 1.844
Co 0.000 3.812 9.315
Co 0.000 7.851 9.499
O 0.000 5.873 5.672
O -2.169 3.913 1.781
O -2.169 7.833 9.562
O 0.000 5.943 2.003
O 2.169 3.913 1.781
O 0.000 3.425 7.364
O 1.978 3.889 5.672
O 0.000 1.875 1.650
O 0.000 3.968 0.000
O 0.000 5.803 9.341
O 0.000 9.871 9.694
O -1.978 3.889 5.672
O 0.000 8.070 7.546
O 0.000 8.321 3.980
O 2.169 7.833 9.562
O 0.000 3.676 3.798
Sr 1.925 5.895 3.724
Sr -1.978 1.984 0.000
Sr 1.978 1.984 0.000
Sr -1.925 5.851 7.620
Sr -1.925 5.895 3.724
Sr 1.925 5.851 7.620



39
Lattice="5.209 1.745 -6.731 2.196 -3.904 7.445 -5.418 -5.835 -3.476" Properties=species:S:1:pos:R:3 comment="Sr8Co8O23 (PBE+U, optimized geometry)" energy_corrected_mp2020_ev_per_atom=-6.731 m_tot_mub_per_cell=28.00 delta_e_f_mev_per_atom=-2008 pbc="T T T"
O 0.772 -5.911 -2.191
O 0.687 -3.609 2.975
O 2.998 -2.400 3.669
O -1.611 -4.869 1.984
O -0.152 -6.145 4.008
O 2.900 -4.311 -1.101
O 1.354 -3.320 -3.080
O 2.193 -0.784 -4.113
O -0.105 -2.045 -5.104
O -0.914 -3.683 -1.662
O -0.207 -7.210 1.350
O 5.439 -2.347 2.210
O 0.632 -4.674 0.317
O 6.141 -1.030 -1.095
O -3.404 -4.693 -2.593
O 4.406 0.240 -2.956
O 1.966 0.188 -1.497
O 1.214 -2.083 -0.572
O 3.702 -1.080 0.357
O 5.390 -3.301 -0.170
O 2.139 -1.849 -6.771
O 1.263 -1.129 1.808
O 1.299 -4.385 -5.738
Co 1.098 -1.952 3.722
Co -2.709 -2.917 -1.738
Co 1.746 -2.585 -4.926
Co 2.604 0.872 -3.366
Co 5.623 -1.640 0.542
Co 0.240 -5.409 2.162
Co 0.993 -3.997 -1.382
Co 1.782 -0.520 0.172
Sr 3.651 -2.082 -2.144
Sr -2.388 -7.219 2.941
Sr -0.834 -2.520 1.027
Sr -1.665 -5.912 -0.619
Sr -0.155 -3.032 -7.566
Sr -0.054 -1.058 -2.641
Sr 2.913 -3.466 1.329
Sr -0.927 -4.528 -4.092



65
Lattice="-3.995 -7.835 8.115 4.217 -4.150 -10.402 6.776 -2.837 2.440" Properties=species:S:1:pos:R:3 comment="Sr18Co12O35 (PBE+U, optimized geometry)" energy_corrected_mp2020_ev_per_atom=-6.746 m_tot_mub_per_cell=38.00 delta_e_f_mev_per_atom=-2302 pbc="T T T"
O 3.293 -6.087 2.183
O -1.192 -9.520 4.566
O 8.461 -8.196 -2.302
O -0.252 -10.772 -0.201
O 5.076 -6.712 -3.530
O 3.708 -8.744 -2.051
O 3.494 -12.335 1.152
O 1.228 -2.256 0.096
O 3.823 -7.269 -6.741
O 5.991 -7.892 -0.820
O 5.690 -10.913 2.202
O 3.265 -7.498 6.791
O -0.226 -6.156 5.719
O 3.706 -2.609 -1.097
O 2.370 -11.183 -1.175
O 4.828 -3.888 -5.677
O 5.288 -9.620 4.853
O 4.970 -11.673 -2.177
O 4.648 -3.585 1.348
O 4.624 -8.506 2.264
O 5.520 -4.763 3.734
O 2.152 -10.946 5.783
O 0.996 -6.987 0.947
O 8.169 -5.297 -4.267
O 2.112 -3.324 2.496
O 7.179 -8.690 -5.553
O 2.356 -6.377 -2.120
O 1.222 -10.110 -3.525
O 7.017 -10.317 -0.792
O 1.887 -8.143 3.661
O 1.340 -3.969 -2.183
O 7.122 -4.043 0.120
O -0.086 -4.609 1.032
O 2.306 -9.374 1.112
O 4.680 -5.464 -0.946
Co 1.981 -2.103 -1.794
Co 0.364 -2.829 1.852
Co 0.912 -5.638 -2.945
Co 2.686 -7.767 1.907
Co 1.652 -11.284 0.688
Co 3.757 -4.241 3.033
Co 3.231 -10.575 -2.873
Co -0.686 -6.355 0.658
Co 6.770 -11.829 -1.863
Co 4.969 -12.637 2.199
Co 5.343 -3.529 -0.544
Co 4.308 -7.039 -1.751
Sr 2.824 -7.765 -4.482
Sr 6.045 -6.257 -5.685
Sr 2.664 -4.868 -6.892
Sr 2.360 -4.728 0.105
Sr 3.303 -1.466 1.173
Sr 0.856 -5.554 3.399
Sr 7.206 -5.658 -2.002
Sr 6.151 -9.153 -3.296
Sr 4.568 -10.022 0.031
Sr 3.136 -10.506 3.502
Sr 4.285 -6.969 4.585
Sr 0.039 -0.102 -0.003
Sr 5.815 -6.171 1.350
Sr 3.815 -4.226 -3.274
Sr 0.937 -8.549 5.834
Sr 1.279 -8.644 -1.153
Sr -2.433 -7.155 4.602
Sr -0.181 -9.113 2.295



26
Lattice="4.980 -4.798 0.000 4.980 4.798 0.000 0.357 0.000 6.906" Properties=species:S:1:pos:R:3 comment="Sr6Co5O15 (PBE+U, optimized geometry)" energy_corrected_mp2020_ev_per_atom=-6.797 delta_e_f_mev_per_atom=-2185 pbc="T T T"
O 8.398 1.490 5.492
O 1.082 0.752 5.824
O 7.590 -0.652 6.698
O 4.221 -1.389 2.530
O 3.346 0.482 3.836
O 6.971 0.482 3.071
O 6.097 -1.389 4.377
O 1.292 -0.838 2.353
O 2.727 -0.652 0.208
O 5.633 0.907 5.070
O 4.255 -4.046 1.083
O 4.980 3.294 0.000
O 4.685 0.907 1.836
O 9.026 -0.838 4.554
O 1.920 1.490 1.415
Co 0.981 0.000 0.657
Co 7.279 0.000 4.872
Co 3.039 0.000 2.034
Co 9.337 0.000 6.250
Co 5.159 0.000 3.453
Sr 3.492 3.253 2.223
Sr 4.980 -1.709 0.000
Sr 5.159 -3.466 3.453
Sr 6.829 1.733 0.959
Sr 3.489 1.733 5.948
Sr 1.846 -1.545 4.683



78
Lattice="10.137 6.203 0.000 -10.137 6.203 0.000 0.000 1.308 8.583" Properties=species:S:1:pos:R:3 comment="Sr21Co14O43 (PBE+U, optimized geometry)" energy_corrected_mp2020_ev_per_atom=-6.761 m_tot_mub_per_cell=50.00 delta_e_f_mev_per_atom=-2303 pbc="T T T"
Co 8.076 6.210 6.119
Co -8.076 6.210 6.119
Co 2.068 5.004 3.702
Co -1.927 6.203 0.000
Co -2.068 8.710 4.881
Co -8.076 7.505 2.464
Co 2.068 8.710 4.881
Co -2.072 3.760 7.343
Co 1.927 6.203 0.000
Co -2.068 5.004 3.702
Co 2.072 3.760 7.343
Co -2.072 9.954 1.240
Co 2.072 9.954 1.240
Co 8.076 7.505 2.464
Sr -6.394 6.203 0.000
Sr -6.440 8.739 4.903
Sr -3.672 3.753 1.234
Sr 6.440 8.739 4.903
Sr 3.672 6.276 6.139
Sr 3.672 9.962 7.349
Sr 3.672 3.753 1.234
Sr 6.440 4.975 3.680
Sr -6.440 4.975 3.680
Sr 6.394 6.203 0.000
Sr 3.672 7.438 2.444
Sr 0.000 0.000 0.000
Sr 0.000 9.903 7.383
Sr 0.000 2.543 4.883
Sr 0.000 11.171 3.700
Sr -3.672 7.438 2.444
Sr -3.672 9.962 7.349
Sr -3.672 6.276 6.139
Sr 0.000 3.811 1.200
Sr 0.000 7.394 2.376
Sr 0.000 6.320 6.207
O -8.431 5.469 1.826
O 1.732 3.112 3.086
O -6.157 6.312 6.128
O -1.713 9.288 3.155
O -1.798 8.231 0.657
O 4.008 9.993 1.221
O -1.689 11.926 7.862
O -4.008 9.993 1.221
O 8.434 6.857 4.292
O -1.732 3.112 3.086
O -4.002 8.738 4.863
O 6.157 6.312 6.128
O 4.002 4.977 3.720
O -1.805 8.165 6.624
O -3.877 6.203 0.000
O 6.157 7.402 2.455
O 4.008 3.721 7.362
O 8.431 5.469 1.826
O 1.735 6.857 4.292
O -1.805 5.549 1.959
O -4.008 3.721 7.362
O 8.431 8.246 6.757
O 1.805 8.165 6.624
O 0.000 6.203 0.000
O 1.798 8.231 0.657
O -6.157 7.402 2.455
O -4.002 4.977 3.720
O 3.877 6.203 0.000
O -1.798 5.483 7.926
O -1.713 4.426 5.428
O 1.689 1.788 0.721
O -1.732 10.602 5.497
O -1.735 6.857 4.292
O -8.434 6.857 4.292
O 4.002 8.738 4.863
O 1.798 5.483 7.926
O 1.805 5.549 1.959
O 1.713 4.426 5.428
O -1.689 1.788 0.721
O 1.689 11.926 7.862
O -8.431 8.246 6.757
O 1.732 10.602 5.497
O 1.713 9.288 3.155



40
Lattice="-3.949 -3.976 -0.010 -0.010 3.976 -3.952 11.822 -7.955 -11.830" Properties=species:S:1:pos:R:3 comment="Sr2TaCoO6 (PBE+U, optimized geometry)" e_above_lowest_polymorph_mev_per_atom=0.0 energy_corrected_mp2020_ev_per_atom=-8.100 m_tot_mub_per_cell=7.86 delta_e_f_mev_per_atom=-2896 pbc="T T T"
O -0.017 0.011 -1.966
O -0.009 -4.012 -5.950
O -0.004 -1.980 -3.959
O 7.873 -3.973 -9.879
O -2.000 0.011 -3.945
O 3.931 -3.983 -9.855
O 5.890 -3.983 -7.894
O 7.857 -5.905 -11.821
O 3.948 -4.012 -5.970
O 3.947 -2.051 -7.912
O 0.013 -6.026 -3.975
O 1.986 -4.012 -3.953
O 7.864 -7.920 -13.791
O 2.007 -4.012 -7.912
O 7.852 -9.882 -11.816
O 5.914 -3.973 -11.840
O 5.848 -7.920 -11.831
O 9.830 -7.920 -11.828
O -0.002 -0.010 -5.942
O -0.015 1.980 -3.948
O 7.866 -7.920 -9.812
O 3.940 -5.955 -7.903
O 1.979 -0.010 -3.961
O 7.865 -2.001 -11.831
Co 0.007 -3.994 -3.968
Co 7.857 -11.914 -11.823
Co 3.942 -3.994 -7.905
Co 7.863 -3.962 -11.828
Sr 5.882 -5.938 -9.847
Sr 1.976 1.973 -5.938
Sr 5.922 -2.019 -9.887
Sr 1.981 -2.015 -5.944
Sr 1.983 -5.991 -5.946
Sr -1.995 -1.974 -1.966
Sr 5.881 -9.916 -9.846
Sr 9.823 -5.940 -13.790
Ta 3.932 -7.954 -7.896
Ta 7.835 -7.912 -11.801
Ta -0.009 0.000 -3.952
Ta 3.969 -0.045 -7.933



40
Lattice="-7.518 0.476 -2.565 -0.855 3.331 -9.211 1.556 -5.477 -5.561" Properties=species:S:1:pos:R:3 comment="Sr2TaCoO6 (PBE+U, optimized geometry)" e_above_lowest_polymorph_mev_per_atom=2.8 energy_corrected_mp2020_ev_per_atom=-8.097 m_tot_mub_per_cell=0.00 delta_e_f_mev_per_atom=-2893 pbc="T T T"
O -6.067 2.002 -6.552
O -2.441 -1.020 -5.370
O -3.037 -2.208 -10.066
O -1.518 -0.974 -8.049
O -5.422 -3.522 -9.431
O -0.057 0.304 -5.997
O -0.760 -3.669 -10.789
O -3.778 0.529 -7.279
O -5.287 -0.696 -9.286
O -1.128 -2.620 -3.438
O -4.235 2.211 -11.871
O -4.375 -0.649 -11.968
O 0.387 -1.380 -1.406
O -4.832 -2.377 -4.691
O -6.347 -3.618 -6.721
O -1.680 -3.803 -8.111
O -1.394 1.852 -7.906
O -2.704 3.443 -9.846
O -4.967 -1.784 -16.700
O -6.762 -1.966 -11.329
O -5.137 2.133 -9.225
O -0.600 -0.842 -10.724
O -6.216 -0.825 -6.614
O -3.437 -0.553 -14.673
Sr -0.176 -2.531 -6.098
Sr -3.939 -2.293 -7.381
Sr -6.636 0.863 -11.235
Sr -0.959 0.208 -3.318
Sr -2.877 0.623 -9.957
Sr -4.722 0.447 -4.602
Sr -2.098 -2.118 -12.738
Sr -5.857 -1.876 -14.017
Co -0.855 3.331 -9.211
Co -1.140 -2.323 -9.417
Co -5.676 0.654 -7.919
Co -3.836 0.831 -13.274
Ta -6.740 -2.262 -5.345
Ta -1.918 0.415 -6.637
Ta -4.898 -2.085 -10.700
Ta -4.613 3.569 -10.494



10
Lattice="0.000 -4.076 -4.076 4.076 0.000 -4.076 4.076 -4.076 0.000" Properties=species:S:1:pos:R:3 comment="Sr2TbCoO6 (PBE+U, optimized geometry)" energy_corrected_mp2020_ev_per_atom=-7.030 m_tot_mub_per_cell=1.98 delta_e_f_mev_per_atom=-2549 pbc="T T T"
Tb 4.076 -4.076 -4.076
O 4.076 -4.076 -6.288
O 4.076 -6.288 -4.076
O 4.076 -1.865 -4.076
O 1.865 -4.076 -4.076
O 4.076 -4.076 -1.865
O 6.288 -4.076 -4.076
Co 0.000 0.000 0.000
Sr 2.038 -2.038 -2.038
Sr 6.114 -6.114 -6.114



30
Lattice="6.798 0.551 6.909 2.909 8.658 3.291 -7.484 -6.047 -1.295" Properties=species:S:1:pos:R:3 comment="Sr3Co2TeO9 (PBE+U, optimized geometry)" energy_corrected_mp2020_ev_per_atom=-6.653 m_tot_mub_per_cell=12.00 delta_e_f_mev_per_atom=-2189 pbc="T T T"
Sr 1.164 5.815 3.009
Sr 1.410 0.151 3.033
Sr 4.675 3.174 6.562
Sr -2.452 -0.012 2.344
Sr 1.060 -2.653 5.897
Sr 0.814 3.011 5.873
Te 3.225 3.059 3.389
Te 6.483 6.150 6.812
O -3.927 -4.369 0.783
O 1.325 2.953 3.052
O -0.179 -1.438 1.469
O 6.150 7.530 8.123
O -2.359 -2.871 2.440
O 6.308 4.796 8.183
O 2.906 4.443 4.704
O 3.063 1.717 4.772
O -0.507 -4.058 4.146
O 0.899 0.209 5.854
O 4.582 6.033 6.466
O 2.554 1.789 7.603
O -2.686 2.716 2.331
O 4.909 0.445 6.575
O -4.085 -1.634 0.724
O -0.839 1.444 4.134
O -0.682 -1.281 4.202
O -0.331 1.373 1.303
Co -0.747 2.766 2.617
Co -0.343 -2.748 2.807
Co 0.000 0.000 0.000
Co 2.971 0.396 6.290



20
Lattice="5.697 0.019 -0.002 0.019 5.725 0.009 -0.004 0.030 8.004" Properties=species:S:1:pos:R:3 comment="Sr2CoTeO6 (PBE+U, optimized geometry)" energy_corrected_mp2020_ev_per_atom=-6.667 m_tot_mub_per_cell=0.00 delta_e_f_mev_per_atom=-2335 pbc="T T T"
O 2.813 0.373 1.924
O 4.102 1.517 7.739
O 0.053 3.236 5.928
O 1.354 1.282 7.741
O 5.659 2.537 2.082
O 1.611 4.256 0.272
O 4.358 4.492 0.270
O 2.899 5.401 6.087
O 4.221 1.646 4.265
O 4.446 4.371 3.746
O 1.266 1.403 4.264
O 1.491 4.127 3.745
Co 0.010 2.862 0.004
Co 2.847 0.025 4.001
Te 2.848 0.010 -0.001
Te 0.008 2.877 4.007
Sr 2.958 2.902 2.006
Sr 0.123 5.702 2.014
Sr 5.589 0.072 5.997
Sr 2.754 2.872 6.004